{
  "formula": "MgMnV4O12",
  "functional": "PBE+U",
  "state": "relaxed",
  "formation_energy_ev_per_atom": -2.360,
  "sg": "P1",
  "dft_energy_ev_per_cell": -132.248,
  "de_polymorph_ev_per_atom": 0.000,
  "lattice_angstrom": [[7.0400, -0.1809, -0.1202], [-0.9345, 6.8157, 0.2204], [-1.5988, 1.4892, 5.6927]],
  "species": ["O", "O", "O", "O", "O", "O", "O", "O", "O", "O", "O", "O", "Mg", "V", "V", "V", "V", "Mn"],
  "frac_coords": [[0.0363, 0.7657, 0.6437], [0.9486, 0.2267, 0.3198], [0.1108, 0.3596, 0.8120], [0.3971, 0.0797, 0.6966], [0.8906, 0.6468, 0.1481], [0.3521, 0.6352, 0.0532], [0.3622, 0.6180, 0.5519], [0.6561, 0.3674, 0.4538], [0.6197, 0.3539, 0.9520], [0.7945, 0.0405, 0.8850], [0.2017, 0.9389, 0.1617], [0.6178, 0.9013, 0.3088], [0.9923, 0.8757, 0.8821], [0.2216, 0.5882, 0.7676], [0.7793, 0.3999, 0.2220], [0.6122, 0.2113, 0.7404], [0.3902, 0.7772, 0.2678], [0.9150, 0.9270, 0.2846]]
}

---

{
  "formula": "MgCrSF5",
  "functional": "PBE+U",
  "state": "relaxed",
  "formation_energy_ev_per_atom": -2.719,
  "sg": "P1",
  "dft_energy_ev_per_cell": -84.809,
  "de_polymorph_ev_per_atom": 0.000,
  "lattice_angstrom": [[4.0738, -0.4373, -5.2321], [3.5007, -6.9067, -0.8479], [0.5508, -0.7708, -10.1056]],
  "species": ["F", "F", "F", "F", "F", "F", "F", "F", "F", "F", "S", "S", "Cr", "Cr", "Mg", "Mg"],
  "frac_coords": [[0.3778, 0.7542, 0.0453], [0.9152, 0.5814, 0.2398], [0.5034, 0.4251, 0.7615], [0.3785, 0.0731, 0.8674], [0.6744, 0.4373, 0.1963], [0.0402, 0.8327, 0.6908], [0.5843, 0.1958, 0.9674], [0.5760, 0.8766, 0.1545], [0.9171, 0.1322, 0.3487], [0.0474, 0.3775, 0.7493], [0.2602, 0.4474, 0.3237], [0.8479, 0.7024, 0.5520], [0.4900, 0.4770, 0.9711], [0.4707, 0.9781, 0.0152], [0.4607, 0.7160, 0.3581], [0.4427, 0.2602, 0.6909]]
}